Crystalline YMgMo3O8 at its relaxed geometry, computed with PBE with a Hubbard U.

Calculated values
Its volume is 171 Å³/cell. For the formation energy, the calculation gives -2944 kJ/mol of formula units. The value obtained for the energy above the most stable polymorph in this dataset is 0.070 eV/atom. The value obtained for the density is 5.15 Mg/m³. The spin magnetization comes out at 0.538 μB/atom.

a = 6.095 Å, b = 6.095 Å, c = 5.140 Å
α = 91.84°, β = 91.84°, γ = 63.44°
Fractional coordinates of all 13 atoms:
1 Y 0.000 0.000 0.000
2 Mg 0.500 0.500 0.000
3 Mo 0.000 0.500 0.500
4 Mo 0.500 0.000 0.500
5 Mo 0.500 0.500 0.500
6 O 0.167 0.167 0.685
7 O 0.188 0.642 0.752
8 O 0.328 0.328 0.273
9 O 0.358 0.812 0.248
10 O 0.642 0.188 0.752
11 O 0.672 0.672 0.727
12 O 0.812 0.358 0.248
13 O 0.833 0.833 0.315



Crystalline MgZn2Mo2O8 at its relaxed geometry, computed with PBE with a Hubbard U.

Calculated values
Its volume is 167 Å³/cell. For the formation energy, the calculation gives -2524 kJ/mol of formula units. The value obtained for the density is 4.72 Mg/m³. The spin magnetization comes out at 0.154 μB/atom.

a = 4.894 Å, b = 7.059 Å, c = 4.951 Å
α = 90.00°, β = 102.17°, γ = 90.00°
Fractional coordinates of all 13 atoms:
1 Mg 0.000 0.000 0.000
2 Zn 0.000 0.594 0.000
3 Zn 0.500 0.310 0.000
4 Mo 0.000 0.268 0.500
5 Mo 0.500 0.947 0.500
6 O 0.203 0.462 0.765
7 O 0.248 0.029 0.719
8 O 0.265 0.182 0.260
9 O 0.266 0.796 0.248
10 O 0.734 0.796 0.752
11 O 0.735 0.182 0.740
12 O 0.752 0.029 0.281
13 O 0.797 0.462 0.235



Crystalline MgZn2Mo4O12 at its relaxed geometry, computed with PBE with a Hubbard U.

Calculated values
Its volume is 222 Å³/cell. For the formation energy, the calculation gives -3633 kJ/mol of formula units. The value obtained for the density is 5.46 Mg/m³. The spin magnetization comes out at 0.316 μB/atom.

a = 5.309 Å, b = 5.371 Å, c = 7.798 Å
α = 90.56°, β = 90.74°, γ = 90.05°
Fractional coordinates of all 19 atoms:
1 Mg 0.000 0.000 0.000
2 Zn 0.475 0.490 0.998
3 Zn 0.986 0.939 0.491
4 Mo 0.496 0.960 0.735
5 Mo 0.497 0.961 0.244
6 Mo 0.990 0.465 0.739
7 Mo 0.997 0.464 0.251
8 O 0.109 0.378 0.990
9 O 0.154 0.123 0.298
10 O 0.157 0.141 0.676
11 O 0.305 0.629 0.273
12 O 0.317 0.668 0.698
13 O 0.374 0.896 0.992
14 O 0.614 0.004 0.493
15 O 0.651 0.276 0.812
16 O 0.686 0.290 0.176
17 O 0.815 0.782 0.173
18 O 0.822 0.787 0.811
19 O 0.915 0.558 0.489



Crystalline Na8MgW2N4O4 at its relaxed geometry, computed with PBE with a Hubbard U.

Calculated values
Its volume is 302 Å³/cell. For the formation energy, the calculation gives -1645 kJ/mol of formula units. The value obtained for the density is 3.82 Mg/m³. The spin magnetization comes out at 0.052 μB/atom.

a = 6.034 Å, b = 6.097 Å, c = 9.368 Å
α = 87.19°, β = 71.38°, γ = 68.18°
Fractional coordinates of all 19 atoms:
1 Na 0.000 0.000 0.000
2 Na 0.016 0.514 0.132
3 Na 0.120 0.393 0.767
4 Na 0.339 0.022 0.433
5 Na 0.411 0.482 0.318
6 Na 0.528 0.455 0.892
7 Na 0.549 0.970 0.706
8 Na 0.895 0.986 0.342
9 Mg 0.038 0.836 0.675
10 W 0.501 0.937 0.045
11 W 0.753 0.467 0.554
12 N 0.310 0.179 0.958
13 N 0.409 0.652 0.660
14 N 0.804 0.774 0.894
15 N 0.918 0.196 0.647
16 O 0.305 0.744 0.119
17 O 0.589 0.058 0.194
18 O 0.811 0.395 0.339
19 O 0.952 0.686 0.519



Crystalline NaNdMgWO6 at its relaxed geometry, computed with PBE with a Hubbard U.

Calculated values
Its volume is 246 Å³/cell. For the formation energy, the calculation gives -2774 kJ/mol of formula units. The value obtained for the density is 6.36 Mg/m³. The spin magnetization comes out at 0.000 μB/atom.

a = 5.542 Å, b = 5.589 Å, c = 7.949 Å
α = 90.00°, β = 90.07°, γ = 90.00°
Fractional coordinates of all 20 atoms:
1 Na 0.247 0.000 0.499
2 Na 0.753 0.500 0.501
3 Nd 0.258 0.944 0.999
4 Nd 0.742 0.444 0.001
5 Mg 0.249 0.482 0.257
6 Mg 0.751 0.982 0.743
7 W 0.246 0.486 0.737
8 W 0.754 0.986 0.263
9 O 0.029 0.785 0.276
10 O 0.059 0.774 0.720
11 O 0.166 0.506 0.994
12 O 0.329 0.465 0.511
13 O 0.464 0.219 0.806
14 O 0.477 0.198 0.194
15 O 0.523 0.698 0.806
16 O 0.536 0.719 0.194
17 O 0.671 0.965 0.489
18 O 0.834 0.006 0.006
19 O 0.941 0.274 0.280
20 O 0.971 0.285 0.724



Crystalline Na2MgNi5O10 at its relaxed geometry, computed with PBE with a Hubbard U.

Calculated values
Its volume is 190 Å³/cell. For the formation energy, the calculation gives -2230 kJ/mol of formula units. The value obtained for the energy above the most stable polymorph in this dataset is 0.000 eV/atom. The value obtained for the density is 4.58 Mg/m³. The spin magnetization comes out at 0.223 μB/atom.

a = 4.951 Å, b = 6.198 Å, c = 6.884 Å
α = 108.82°, β = 99.07°, γ = 101.94°
Fractional coordinates of all 18 atoms:
1 Na 0.152 0.299 0.293
2 Na 0.848 0.701 0.707
3 Mg 0.500 0.000 0.000
4 Ni 0.109 0.718 0.189
5 Ni 0.298 0.091 0.604
6 Ni 0.500 0.500 0.000
7 Ni 0.702 0.909 0.396
8 Ni 0.891 0.282 0.811
9 O 0.022 0.792 0.455
10 O 0.209 0.636 0.929
11 O 0.228 0.199 0.921
12 O 0.413 0.035 0.302
13 O 0.437 0.610 0.271
14 O 0.563 0.390 0.729
15 O 0.587 0.965 0.698
16 O 0.772 0.801 0.079
17 O 0.791 0.364 0.071
18 O 0.978 0.208 0.545



Crystalline Na2MgNi5O10 at its relaxed geometry, computed with PBE with a Hubbard U.

Calculated values
Its volume is 193 Å³/cell. For the formation energy, the calculation gives -2192 kJ/mol of formula units. The value obtained for the energy above the most stable polymorph in this dataset is 0.022 eV/atom. The value obtained for the density is 4.51 Mg/m³. The spin magnetization comes out at 0.222 μB/atom.

a = 5.014 Å, b = 5.746 Å, c = 7.636 Å
α = 111.68°, β = 100.66°, γ = 100.89°
Fractional coordinates of all 18 atoms:
1 Na 0.000 0.000 0.000
2 Na 0.424 0.846 0.840
3 Mg 0.212 0.406 0.416
4 Ni 0.036 0.455 0.940
5 Ni 0.241 0.860 0.344
6 Ni 0.440 0.264 0.736
7 Ni 0.636 0.639 0.153
8 Ni 0.839 0.060 0.538
9 O 0.157 0.418 0.678
10 O 0.185 0.928 0.591
11 O 0.313 0.783 0.098
12 O 0.334 0.291 0.965
13 O 0.500 0.203 0.483
14 O 0.524 0.699 0.394
15 O 0.718 0.590 0.901
16 O 0.750 0.135 0.795
17 O 0.955 0.011 0.290
18 O 0.977 0.524 0.226



Crystalline Na8MgNi2O8 at its relaxed geometry, computed with PBE with a Hubbard U.

Calculated values
Its volume is 264 Å³/cell. For the formation energy, the calculation gives -2778 kJ/mol of formula units. The value obtained for the energy above the most stable polymorph in this dataset is 0.000 eV/atom. The value obtained for the density is 2.86 Mg/m³. The spin magnetization comes out at 0.316 μB/atom.

a = 5.593 Å, b = 5.906 Å, c = 8.909 Å
α = 72.39°, β = 87.18°, γ = 70.43°
Fractional coordinates of all 19 atoms:
1 Na 0.000 0.000 0.000
2 Na 0.006 0.838 0.356
3 Na 0.014 0.430 0.176
4 Na 0.488 0.180 0.791
5 Na 0.496 0.514 0.996
6 Na 0.509 0.709 0.572
7 Na 0.521 0.922 0.164
8 Na 0.835 0.007 0.638
9 Mg 0.065 0.380 0.555
10 Ni 0.546 0.371 0.336
11 Ni 0.988 0.510 0.831
12 O 0.125 0.644 0.630
13 O 0.237 0.282 0.979
14 O 0.288 0.649 0.208
15 O 0.415 0.172 0.515
16 O 0.731 0.185 0.209
17 O 0.766 0.761 0.903
18 O 0.778 0.516 0.393
19 O 0.855 0.309 0.748



Crystalline Na2MgNi2O4 at its relaxed geometry, computed with PBE with a Hubbard U.

Calculated values
Its volume is 114 Å³/cell. For the formation energy, the calculation gives -1221 kJ/mol of formula units. The value obtained for the energy above the most stable polymorph in this dataset is 0.000 eV/atom. The value obtained for the density is 3.68 Mg/m³. The spin magnetization comes out at 0.341 μB/atom.

a = 3.206 Å, b = 3.206 Å, c = 12.732 Å
α = 90.06°, β = 90.06°, γ = 60.20°
Fractional coordinates of all 9 atoms:
1 Na 0.000 0.000 0.000
2 Na 0.667 0.667 0.630
3 Mg 0.666 0.666 0.410
4 Ni 0.328 0.328 0.213
5 Ni 0.334 0.334 0.820
6 O 0.000 0.000 0.458
7 O 0.001 0.001 0.739
8 O 0.667 0.667 0.907
9 O 0.668 0.668 0.245



Among the records above, which one has the highest spin magnetization?
YMgMo3O8